Entry 1:
# PdAu3, relaxed, DFT r²SCAN
# VASP energy   -43.76 eV/atom
# V   16.9 A^3/atom
# Energy relative to the elements   -0.085 eV/atom
data_PdAu3
_symmetry_space_group_name_H-M 'P 63/m m c'
_symmetry_Int_Tables_number 194
_symmetry_space_group_name_Hall '-P 6c 2c'
_cell_length_a 5.7262
_cell_length_b 5.7262
_cell_length_c 4.7622
_cell_angle_alpha 90.00
_cell_angle_beta 90.00
_cell_angle_gamma 120.00
loop_
_atom_site_label
_atom_site_type_symbol
_atom_site_fract_x
_atom_site_fract_y
_atom_site_fract_z
Pd1 Pd 0.3333 0.6667 0.2500
Au1 Au 0.1679 0.3357 0.7500


Entry 2:
# Sr3UO6, relaxed, DFT r²SCAN
# VASP energy   -19.50 eV/atom
# V   16.2 A^3/atom
# Energy relative to the elements   -3.374 eV/atom
data_Sr3UO6
_symmetry_space_group_name_H-M 'P 1 21/c 1'
_symmetry_Int_Tables_number 14
_cell_length_a 6.012
_cell_length_b 6.245
_cell_length_c 10.473
_cell_angle_alpha 90.00
_cell_angle_beta 124.56
_cell_angle_gamma 90.00
loop_
_symmetry_equiv_pos_as_xyz
'x,y,z'
'-x,-y,-z'
'-x,y+1/2,-z+1/2'
'x,-y+1/2,z+1/2'
loop_
_atom_site_label
_atom_site_type_symbol
_atom_site_fract_x
_atom_site_fract_y
_atom_site_fract_z
Sr1 Sr 0.000 0.000 0.000
Sr2 Sr 0.228 0.050 0.743
U1 U 0.500 0.000 0.500
O1 O 0.168 0.176 0.450
O2 O 0.249 0.727 0.423
O3 O 0.393 0.062 0.275


Entry 3:
# Sc2Ni21B6, relaxed, DFT r²SCAN
# VASP energy   -11.34 eV/atom
# V   9.9 A^3/atom
# Energy relative to the elements   -0.359 eV/atom
data_Sc2Ni21B6
_symmetry_space_group_name_H-M 'F m -3 m'
_symmetry_Int_Tables_number 225
_symmetry_space_group_name_Hall '-F 4 2 3'
_cell_length_a 10.467
_cell_length_b 10.467
_cell_length_c 10.467
_cell_angle_alpha 90.00
_cell_angle_beta 90.00
_cell_angle_gamma 90.00
loop_
_atom_site_label
_atom_site_type_symbol
_atom_site_fract_x
_atom_site_fract_y
_atom_site_fract_z
Sc1 Sc 0.250 0.250 0.250
Ni1 Ni 0.000 0.000 0.000
Ni2 Ni 0.000 0.169 0.169
Ni3 Ni 0.115 0.115 0.385
B1 B 0.000 0.000 0.271


Entry 4:
# Sm2Se3, relaxed, DFT r²SCAN
# VASP energy   -22.65 eV/atom
# V   25.9 A^3/atom
# Energy relative to the elements   -2.173 eV/atom
data_Sm2Se3
_symmetry_space_group_name_H-M 'I -4 2 d'
_symmetry_Int_Tables_number 122
_symmetry_space_group_name_Hall 'I -4 2bw'
_cell_length_a 8.836
_cell_length_b 8.836
_cell_length_c 26.495
_cell_angle_alpha 90.00
_cell_angle_beta 90.00
_cell_angle_gamma 90.00
loop_
_atom_site_label
_atom_site_type_symbol
_atom_site_fract_x
_atom_site_fract_y
_atom_site_fract_z
Sm1 Sm 0.000 0.000 0.166
Sm2 Sm 0.119 0.750 0.625
Sm3 Sm 0.136 0.741 0.961
Se1 Se 0.069 0.678 0.184
Se2 Se 0.071 0.682 0.855
Se3 Se 0.079 0.675 0.517